Record 1
A plane-wave DFT calculation with PBE was carried out for Ba3MnN3 after structural relaxation.

Corrected total energy (MP2020 scheme) in eV per atom: -6.52
Mass density in g/cm³: 5.14

Cell: 8.287 8.287 5.534 Å, 90.00 90.00 120.00°
Sites, in units of the cell vectors:
Ba (0.082, 0.363, 0.250)
Ba (0.282, 0.918, 0.250)
Ba (0.363, 0.282, 0.750)
Ba (0.637, 0.718, 0.250)
Ba (0.718, 0.082, 0.750)
Ba (0.918, 0.637, 0.750)
Mn (0.333, 0.667, 0.750)
Mn (0.667, 0.333, 0.250)
N (0.134, 0.451, 0.750)
N (0.317, 0.866, 0.750)
N (0.451, 0.317, 0.250)
N (0.549, 0.683, 0.750)
N (0.683, 0.134, 0.250)
N (0.866, 0.549, 0.250)

Record 2
A plane-wave DFT calculation with PBE was carried out for Zr5Sn3As after structural relaxation.

Total DFT energy (no corrections) in eV per atom: -7.38
Mass density in g/cm³: 7.53

Cell: 8.703 8.703 5.962 Å, 90.00 90.00 120.00°
Sites, in units of the cell vectors:
Zr (0.000, 0.262, 0.250)
Zr (0.000, 0.738, 0.750)
Zr (0.262, 0.000, 0.250)
Zr (0.262, 0.262, 0.750)
Zr (0.333, 0.667, 0.000)
Zr (0.333, 0.667, 0.500)
Zr (0.667, 0.333, 0.000)
Zr (0.667, 0.333, 0.500)
Zr (0.738, 0.000, 0.750)
Zr (0.738, 0.738, 0.250)
Sn (0.000, 0.395, 0.750)
Sn (0.000, 0.605, 0.250)
Sn (0.395, 0.000, 0.750)
Sn (0.395, 0.395, 0.250)
Sn (0.605, 0.000, 0.250)
Sn (0.605, 0.605, 0.750)
As (0.000, 0.000, 0.000)
As (0.000, 0.000, 0.500)